# 1
## PuMn2 (PBE)

Data for crystalline PuMn2 at its relaxed geometry.

Lattice parameters (Å, degrees): 4.866 4.866 4.866 60.00 60.00 60.00
Atoms (fractional coordinates):
1 Pu 0.125 0.125 0.125
2 Pu 0.875 0.875 0.875
3 Mn 0.000 0.500 0.500
4 Mn 0.500 0.000 0.500
5 Mn 0.500 0.500 0.000
6 Mn 0.500 0.500 0.500


# 2
## PuMn2Si2 (PBE)

Data for crystalline PuMn2Si2 at its relaxed geometry.

Lattice parameters (Å, degrees): 5.788 5.788 5.788 141.33 141.33 55.85
Atoms (fractional coordinates):
1 Pu 0.000 0.000 0.000
2 Mn 0.250 0.750 0.500
3 Mn 0.750 0.250 0.500
4 Si 0.384 0.384 0.000
5 Si 0.616 0.616 0.000


# 3
## Rb2MnSb2 (PBE)

Data for crystalline Rb2MnSb2 at its relaxed geometry.

Lattice parameters (Å, degrees): 3.658 3.658 16.505 90.00 90.00 90.00
Atoms (fractional coordinates):
1 Rb 0.000 0.000 0.137
2 Rb 0.000 0.000 0.863
3 Mn 0.000 0.000 0.500
4 Sb 0.000 0.000 0.344
5 Sb 0.000 0.000 0.656


# 4
## Rb2Mn3Te4 (PBE)

Data for crystalline Rb2Mn3Te4 at its relaxed geometry.

Lattice parameters (Å, degrees): 10.506 10.506 10.506 143.28 104.91 86.63
Atoms (fractional coordinates):
1 Rb 0.122 0.235 0.357
2 Rb 0.378 0.735 0.113
3 Rb 0.622 0.265 0.887
4 Rb 0.878 0.765 0.643
5 Mn 0.017 0.250 0.767
6 Mn 0.250 0.750 0.500
7 Mn 0.483 0.250 0.233
8 Mn 0.517 0.750 0.767
9 Mn 0.750 0.250 0.500
10 Mn 0.983 0.750 0.233
11 Te 0.013 0.419 0.143
12 Te 0.224 0.081 0.595
13 Te 0.276 0.870 0.857
14 Te 0.487 0.630 0.405
15 Te 0.513 0.370 0.595
16 Te 0.724 0.130 0.143
17 Te 0.776 0.919 0.405
18 Te 0.987 0.581 0.857


For each record above, in turn, the calculated total energy values are -10.489, -9.159, -3.338, -5.143 eV per atom.